Entry 1:
Computed, not measured: a geometry-optimized CaMnB2O5 structure at the GGA+U level of DFT.

Output
magnetic moment: 0.556 μB/atom
crystal system: monoclinic
formation enthalpy at 0 K: -25.92 eV per formula unit

Cell and atoms, written as CIF:
```
data_CaMnB2O5
_chemical_formula_sum 'Ca8 Mn8 B16 O40'
_cell_length_a 12.537
_cell_length_b 11.552
_cell_length_c 5.736
_cell_angle_alpha 90.00
_cell_angle_beta 102.57
_cell_angle_gamma 90.00
_space_group_name_H-M_alt 'P 1 21/c 1'
_space_group_IT_number 14
loop_
_space_group_symop_operation_xyz
'x,y,z'
'-x,-y,-z'
'-x,y+1/2,-z+1/2'
'x,-y+1/2,z+1/2'
loop_
_atom_site_label
_atom_site_type_symbol
_atom_site_fract_x
_atom_site_fract_y
_atom_site_fract_z
Ca1 Ca 0.087 0.128 0.146
Ca2 Ca 0.408 0.619 0.374
Mn1 Mn 0.238 0.628 0.750
Mn2 Mn 0.264 0.128 0.755
B1 B 0.011 0.619 0.852
B2 B 0.173 0.624 0.200
B3 B 0.328 0.116 0.293
B4 B 0.491 0.125 0.630
O1 O 0.058 0.627 0.102
O2 O 0.066 0.574 0.692
O3 O 0.091 0.166 0.723
O4 O 0.215 0.695 0.389
O5 O 0.241 0.554 0.105
O6 O 0.266 0.190 0.396
O7 O 0.278 0.046 0.107
O8 O 0.409 0.677 0.808
O9 O 0.438 0.087 0.800
O10 O 0.443 0.112 0.381
```

***

Entry 2:
Computed, not measured: a geometry-optimized CeBMoO6 structure at the GGA+U level of DFT.

Output
magnetic moment: 0.111 μB/atom
crystal system: monoclinic
formation enthalpy at 0 K: -25.01 eV per formula unit

Cell and atoms, written as CIF:
```
data_CeBMoO6
_chemical_formula_sum 'Ce4 B4 Mo4 O24'
_cell_length_a 10.326
_cell_length_b 4.174
_cell_length_c 12.062
_cell_angle_alpha 90.00
_cell_angle_beta 116.15
_cell_angle_gamma 90.00
_space_group_name_H-M_alt 'P 1 21/c 1'
_space_group_IT_number 14
loop_
_space_group_symop_operation_xyz
'x,y,z'
'-x,-y,-z'
'-x,y+1/2,-z+1/2'
'x,-y+1/2,z+1/2'
loop_
_atom_site_label
_atom_site_type_symbol
_atom_site_fract_x
_atom_site_fract_y
_atom_site_fract_z
Ce1 Ce 0.198 0.215 0.032
B1 B 0.004 0.666 0.809
Mo1 Mo 0.355 0.693 0.819
O1 O 0.003 0.730 0.414
O2 O 0.031 0.160 0.300
O3 O 0.256 0.723 0.150
O4 O 0.264 0.725 0.415
O5 O 0.338 0.235 0.302
O6 O 0.455 0.233 0.107
```

***

Entry 3:
Computed, not measured: a geometry-optimized CoBH18N6Cl2F4 structure at the GGA+U level of DFT.

Output
magnetic moment: 0.000 μB/atom
crystal system: monoclinic
formation enthalpy at 0 K: -29.32 eV per formula unit

Cell and atoms, written as CIF:
```
data_CoBH18N6Cl2F4
_chemical_formula_sum 'Co4 B4 H72 N24 Cl8 F16'
_cell_length_a 13.730
_cell_length_b 7.576
_cell_length_c 12.389
_cell_angle_alpha 90.00
_cell_angle_beta 109.70
_cell_angle_gamma 90.00
_space_group_name_H-M_alt 'P 1 21/c 1'
_space_group_IT_number 14
loop_
_space_group_symop_operation_xyz
'x,y,z'
'-x,-y,-z'
'-x,y+1/2,-z+1/2'
'x,-y+1/2,z+1/2'
loop_
_atom_site_label
_atom_site_type_symbol
_atom_site_fract_x
_atom_site_fract_y
_atom_site_fract_z
Co1 Co 0.000 0.000 0.000
Co2 Co 0.500 0.000 0.500
B1 B 0.202 0.044 0.729
H1 H 0.003 0.703 0.099
H2 H 0.007 0.248 0.141
H3 H 0.059 0.585 0.334
H4 H 0.069 0.071 0.215
H5 H 0.095 0.207 0.521
H6 H 0.104 0.191 0.909
H7 H 0.156 0.701 0.533
H8 H 0.160 0.614 0.658
H9 H 0.199 0.001 0.068
H10 H 0.350 0.215 0.419
H11 H 0.353 0.585 0.071
H12 H 0.356 0.729 0.931
H13 H 0.372 0.128 0.587
H14 H 0.378 0.125 0.312
H15 H 0.386 0.658 0.822
H16 H 0.451 0.506 0.181
H17 H 0.452 0.215 0.887
H18 H 0.462 0.696 0.407
N1 N 0.006 0.113 0.146
N2 N 0.054 0.217 0.952
N3 N 0.143 0.588 0.572
N4 N 0.410 0.009 0.594
N5 N 0.411 0.175 0.394
N6 N 0.418 0.693 0.907
Cl1 Cl 0.173 0.576 0.877
Cl2 Cl 0.417 0.502 0.634
F1 F 0.098 0.506 0.163
F2 F 0.206 0.074 0.844
F3 F 0.226 0.203 0.683
F4 F 0.271 0.589 0.225
```

***

Entry 4:
Computed, not measured: a geometry-optimized Co2BP4H2Pb4ClO18 structure at the GGA+U level of DFT.

Output
magnetic moment: 0.188 μB/atom
crystal system: trigonal
formation enthalpy at 0 K: -69.90 eV per formula unit

Cell and atoms, written as CIF:
```
data_Co2BP4H2Pb4ClO18
_chemical_formula_sum 'Co36 B18 P72 H36 Pb72 Cl18 O324'
_cell_length_a 9.8369
_cell_length_b 9.8369
_cell_length_c 92.2919
_cell_angle_alpha 90.00
_cell_angle_beta 90.00
_cell_angle_gamma 120.00
_space_group_name_H-M_alt 'R -3 c'
_space_group_IT_number 167
_space_group_name_Hall '-R 3 2"c'
loop_
_atom_site_label
_atom_site_type_symbol
_atom_site_fract_x
_atom_site_fract_y
_atom_site_fract_z
Co1 Co 0.0037 0.2599 0.4466
B1 B 0.0000 0.4795 0.2500
P1 P 0.0176 0.3910 0.5587
P2 P 0.0258 0.4068 0.4798
H1 H 0.0456 0.2150 0.4200
Pb1 Pb 0.0000 0.0000 0.1259
Pb2 Pb 0.0000 0.0000 0.1676
Pb3 Pb 0.0000 0.0000 0.2131
Pb4 Pb 0.0083 0.2598 0.5210
Cl1 Cl 0.0000 0.0000 0.0000
Cl2 Cl 0.0000 0.0000 0.0461
O1 O 0.0090 0.2370 0.5928
O2 O 0.0086 0.4722 0.0545
O3 O 0.0107 0.1796 0.3537
O4 O 0.0203 0.4189 0.1351
O5 O 0.0331 0.4573 0.2858
O6 O 0.0342 0.2834 0.6720
O7 O 0.0503 0.2310 0.0743
O8 O 0.0599 0.4816 0.8924
O9 O 0.0806 0.2152 0.3093
```

***

> Look up the formation enthalpy at 0 K of the first one.

-25.92 eV per formula unit